No. 1
The following is a DFT calculation (PBE-GGA) of crystalline Mn3Co8N8 at its relaxed geometry.

Geometry as extended XYZ:
```
19
Lattice="-1.002 -1.046 7.202 3.536 -1.044 1.425 0.532 5.793 2.924" Properties=species:S:1:pos:R:3 pbc="T T T"
Mn 2.034 2.374 2.174
Mn 2.754 3.451 6.659
Mn 0.312 0.252 4.893
Co 3.827 3.482 4.019
Co -0.761 0.221 7.533
Co 1.971 1.069 6.857
Co 1.095 2.634 4.694
Co 1.795 4.166 9.561
Co 1.271 -0.463 1.990
Co 2.895 0.605 4.224
Co 0.171 3.099 7.327
N 2.951 -0.839 3.027
N 0.115 4.542 8.524
N 2.867 2.152 5.426
N 0.199 1.551 6.125
N 1.931 2.687 8.140
N 1.135 1.016 3.411
N 1.143 -0.170 8.004
N 1.923 3.873 3.548
```

Computed properties:
**Total energy after the MP2020 corrections**: -7.95 eV per atom
**Size of the total moment**: 4.3 μB per formula unit



No. 2
The following is a DFT calculation (PBE-GGA) of crystalline Mn2CoN2 at its relaxed geometry.

Geometry as extended XYZ:
```
5
Lattice="3.001 -0.330 -0.339 -1.786 3.094 0.000 -0.631 -0.365 5.683" Properties=species:S:1:pos:R:3 pbc="T T T"
Mn 1.459 0.843 0.642
Mn -0.876 1.557 4.702
Co -0.316 -0.182 2.842
N 0.529 0.305 4.395
N 0.055 2.094 0.949
```

Computed properties:
**Total energy after the MP2020 corrections**: -8.59 eV per atom
**Relative energy among the computed polymorphs**: 158.9 meV/atom
**Size of the total moment**: 1.3 μB per formula unit



No. 3
The following is a DFT calculation (PBE-GGA) of crystalline Mn10CoN9 at its relaxed geometry.

Geometry as extended XYZ:
```
80
Lattice="-2.679 -1.750 5.456 4.316 -6.540 0.022 12.284 8.129 6.803" Properties=species:S:1:pos:R:3 pbc="T T T"
Mn 3.659 -5.603 3.037
Mn 5.027 0.004 5.846
Mn 10.262 5.443 9.243
Mn 8.893 -0.164 6.434
Mn 6.044 3.002 6.772
Mn 12.788 2.766 8.903
Mn 7.876 -3.162 5.508
Mn 1.132 -2.926 3.377
Mn 10.242 -0.614 9.341
Mn 10.155 4.012 6.342
Mn 3.678 0.454 2.939
Mn 3.766 -4.172 5.938
Mn 8.210 2.403 8.959
Mn 12.494 0.528 6.726
Mn 5.710 -2.563 3.321
Mn 1.426 -0.688 5.554
Mn 10.485 3.064 9.903
Mn 10.995 -1.307 5.786
Mn 3.436 -3.224 2.378
Mn 2.926 1.147 6.494
Mn 8.609 4.661 11.152
Mn 10.268 1.040 4.523
Mn 5.312 -4.821 1.128
Mn 3.652 -1.200 7.757
Mn 5.736 2.717 9.623
Mn 13.180 2.924 6.053
Mn 8.184 -2.877 2.657
Mn 0.741 -3.084 6.227
Mn 8.256 2.010 5.441
Mn 12.827 0.348 10.246
Mn 5.664 -2.170 6.839
Mn 1.094 -0.508 2.034
Mn 8.145 4.886 7.992
Mn 10.234 1.569 7.681
Mn 5.775 -5.046 4.288
Mn 3.686 -1.729 4.599
Mn 8.078 -2.179 7.888
Mn 12.440 5.394 7.796
Mn 5.843 2.019 4.392
Mn 1.480 -5.554 4.484
Co 6.824 0.530 7.942
Co 14.759 1.071 7.748
Co 7.096 -0.690 4.339
Co -0.838 -1.231 4.533
N 8.294 1.456 7.212
N 13.326 0.087 8.478
N 5.626 -1.616 5.069
N 0.594 -0.247 3.802
N 9.633 3.732 8.263
N 10.711 -0.253 7.421
N 4.288 -3.892 4.018
N 3.210 0.093 4.860
N 9.953 5.932 10.973
N 8.570 0.305 4.701
N 3.968 -6.092 1.308
N 5.350 -0.465 7.579
N 9.188 -2.044 6.357
N 11.875 4.433 9.329
N 4.732 1.884 5.923
N 2.046 -4.593 2.951
N 6.842 3.598 8.372
N 11.932 2.260 7.303
N 7.079 -3.758 3.909
N 1.989 -2.420 4.977
N 6.997 1.140 9.906
N 14.136 1.143 5.781
N 6.923 -1.300 2.374
N -0.215 -1.303 6.499
N 12.056 4.723 6.100
N 8.840 -2.082 9.586
N 1.865 -4.883 6.181
N 5.080 1.922 2.694
N 6.975 3.354 5.081
N 12.094 2.057 10.596
N 6.946 -3.514 7.199
N 1.827 -2.217 1.685
N 8.601 5.176 6.154
N 9.782 1.273 9.519
N 5.319 -5.336 6.126
N 4.138 -1.433 2.761
```

Computed properties:
**Total energy after the MP2020 corrections**: -8.91 eV per atom
**Size of the total moment**: 11.2 μB per formula unit



No. 4
The following is a DFT calculation (PBE-GGA) of crystalline Nd2Mn5Co12 at its relaxed geometry.

Geometry as extended XYZ:
```
38
Lattice="-2.460 -5.682 -5.658 7.798 -0.251 3.078 -2.556 -4.940 6.072" Properties=species:S:1:pos:R:3 pbc="T T T"
Nd -0.639 -1.235 1.518
Nd -1.917 -3.705 4.554
Nd 2.461 -5.766 4.720
Nd 0.320 -5.106 -1.228
Mn 3.396 -3.961 2.501
Mn -0.614 -6.912 0.992
Mn -1.302 -8.241 2.625
Mn 4.083 -2.632 0.867
Mn -1.230 -2.841 -2.829
Mn 3.899 -0.126 1.539
Mn 2.669 -2.966 -1.290
Mn -2.508 -5.311 0.207
Mn 2.621 -2.596 4.575
Mn 1.391 -5.436 1.746
Co 1.487 -3.205 0.810
Co 5.262 -5.015 0.926
Co 4.470 -1.668 3.316
Co 3.051 -4.944 0.054
Co 2.184 -1.595 2.414
Co 5.983 -3.350 2.584
Co 1.294 -7.667 2.682
Co -2.480 -5.858 2.566
Co -1.688 -9.204 0.177
Co -0.270 -5.929 3.438
Co 0.597 -9.278 1.079
Co -3.201 -7.523 0.908
Co 4.785 -3.682 4.733
Co 0.875 -3.556 3.190
Co 3.551 -6.530 1.897
Co -2.003 -7.191 -1.241
Co 1.906 -7.317 0.302
Co -0.770 -4.343 1.596
Co -0.785 -4.837 -4.134
Co 3.124 -4.963 -2.591
Co 0.448 -1.988 -1.298
Co 3.567 -6.036 7.627
Co -0.343 -5.910 6.084
Co 2.333 -8.884 4.791
```

Computed properties:
**Size of the total moment**: 27.2 μB per formula unit



No. 5
The following is a DFT calculation (PBE-GGA) of crystalline Mn2CoNiSb2 at its relaxed geometry.

Geometry as extended XYZ:
```
6
Lattice="-3.690 6.406 0.265 -4.101 4.912 -3.711 -6.561 3.366 -0.586" Properties=species:S:1:pos:R:3 pbc="T T T"
Mn -10.754 11.002 -3.022
Mn -3.597 3.680 -1.011
Co -14.348 14.680 -4.032
Ni -7.177 7.343 -2.017
Sb -1.785 1.826 -0.502
Sb -8.980 9.187 -2.524
```

Computed properties:
**Total energy after the MP2020 corrections**: -6.40 eV per atom
**Size of the total moment**: 7.1 μB per formula unit



No. 6
The following is a DFT calculation (PBE-GGA) of crystalline MnCoNiSn at its relaxed geometry.

Geometry as extended XYZ:
```
4
Lattice="0.000 3.013 3.013 3.013 0.000 3.013 3.013 3.013 0.000" Properties=species:S:1:pos:R:3 pbc="T T T"
Mn 0.000 0.000 0.000
Co 4.519 4.519 4.519
Ni 1.506 1.506 1.506
Sn 3.013 3.013 3.013
```

Computed properties:
**Size of the total moment**: 5.0 μB per formula unit



No. 7
The following is a DFT calculation (PBE-GGA) of crystalline MnCoP at its relaxed geometry.

Geometry as extended XYZ:
```
12
Lattice="3.453 0.000 0.000 0.000 5.882 0.000 0.000 0.000 6.673" Properties=species:S:1:pos:R:3 pbc="T T T"
Mn 2.590 0.164 4.455
Mn 0.863 5.718 2.218
Mn 2.590 3.105 5.555
Mn 0.863 2.777 1.119
Co 0.863 2.104 3.772
Co 2.590 3.778 2.901
Co 0.863 5.045 6.238
Co 2.590 0.837 0.435
P 0.863 4.316 4.177
P 2.590 1.566 2.496
P 0.863 1.375 5.833
P 2.590 4.507 0.840
```



no.,formation energy from the elements (meV per atom)
1,2
2,-170
3,-226
4,24
5,182
6,-114
7,-643